TbSi2Ir2 | GGA-PBE | optimized geometry

Properties
Formation energy from the elements: -1.095 eV/atom

Cell lengths 5.7757, 5.7757, 5.7757 Å; angles 138.55, 138.55, 60.07 degrees
Element x y z (fractional)
Tb 0.0000 0.0000 0.0000
Si 0.6215 0.6215 0.0000
Si 0.3785 0.3785 0.0000
Ir 0.2500 0.7500 0.5000
Ir 0.7500 0.2500 0.5000

TbSi2Ir2 | GGA-PBE | optimized geometry

Properties
Formation energy from the elements: -1.067 eV/atom

Cell lengths 4.1402, 4.1402, 9.8721 Å; angles 90.00, 90.00, 90.00 degrees
Element x y z (fractional)
Tb 0.0000 0.5000 0.2547
Tb 0.5000 0.0000 0.7453
Si 0.0000 0.0000 0.5000
Si 0.5000 0.5000 0.5000
Si 0.0000 0.5000 0.8690
Si 0.5000 0.0000 0.1310
Ir 0.0000 0.0000 0.0000
Ir 0.5000 0.5000 0.0000
Ir 0.0000 0.5000 0.6284
Ir 0.5000 0.0000 0.3716